No. 1
First-principles (r2SCAN) data for crystalline Se at its relaxed geometry, as listed in Materials Project.

Results
ΔE to the lowest computed polymorph: 23 meV per atom
energy relative to the elements: 0.0234 eV/atom
V: 178.7 Å³ per cell

Cell and atoms, written as extended XYZ:
```
6
Lattice="5.655 3.265 1.613 -5.655 3.265 1.613 0.000 -6.530 1.613" Properties=species:S:1:pos:R:3 pbc="T T T"
Se -4.278 -1.665 2.690
Se -0.697 -4.537 2.149
Se -3.581 2.872 2.149
Se 3.581 -2.872 2.690
Se 0.697 4.537 2.690
Se 4.278 1.665 2.149
```


No. 2
First-principles (r2SCAN) data for crystalline Ta11Si2Se8 at its relaxed geometry, as listed in Materials Project.

Results
energy relative to the elements: -0.7660 eV/atom
V: 812.0 Å³ per cell

Cell and atoms, written as extended XYZ:
```
42
Lattice="11.932 0.000 0.000 0.000 19.549 0.000 0.000 0.000 3.481" Properties=species:S:1:pos:R:3 pbc="T T T"
Ta 0.000 0.000 0.000
Ta 0.591 4.685 0.000
Ta 0.772 2.209 1.740
Ta 1.900 15.397 1.740
Ta 2.126 18.628 1.740
Ta 2.156 6.950 1.740
Ta 3.810 16.725 0.000
Ta 3.840 8.854 0.000
Ta 4.066 5.622 0.000
Ta 5.195 11.984 0.000
Ta 5.375 14.460 1.740
Ta 5.966 9.775 1.740
Ta 6.557 5.089 1.740
Ta 6.738 7.566 0.000
Ta 7.866 13.927 0.000
Ta 8.092 10.696 0.000
Ta 8.122 2.824 0.000
Ta 9.776 12.599 1.740
Ta 9.806 0.921 1.740
Ta 10.033 4.152 1.740
Ta 11.161 17.340 1.740
Ta 11.341 14.864 0.000
Si 1.092 17.062 0.000
Si 4.874 7.287 1.740
Si 7.058 12.262 1.740
Si 10.840 2.487 0.000
Se 0.439 13.201 1.740
Se 1.306 8.696 0.000
Se 2.537 1.112 0.000
Se 2.581 4.172 1.740
Se 3.385 13.947 0.000
Se 3.430 10.887 1.740
Se 4.660 18.470 1.740
Se 5.527 3.426 0.000
Se 6.405 16.123 0.000
Se 7.272 1.079 1.740
Se 8.503 8.662 1.740
Se 8.548 5.603 0.000
Se 9.351 15.377 1.740
Se 9.396 18.437 0.000
Se 10.626 10.853 0.000
Se 11.493 6.348 1.740
```


No. 3
First-principles (r2SCAN) data for crystalline ZrSiSe at its relaxed geometry, as listed in Materials Project.

Results
energy relative to the elements: -1.2077 eV/atom
V: 112.5 Å³ per cell

Cell and atoms, written as extended XYZ:
```
6
Lattice="3.604 0.000 0.000 0.000 3.604 0.000 0.000 0.000 8.661" Properties=species:S:1:pos:R:3 pbc="T T T"
Zr 0.901 0.901 2.158
Zr 2.703 2.703 6.503
Si 0.901 2.703 0.000
Si 2.703 0.901 0.000
Se 0.901 0.901 5.450
Se 2.703 2.703 3.211
```


No. 4
First-principles (r2SCAN) data for crystalline SmSe at its relaxed geometry, as listed in Materials Project.

Results
energy relative to the elements: -2.0822 eV/atom
V: 51.0 Å³ per cell

Cell and atoms, written as extended XYZ:
```
2
Lattice="0.000 2.943 2.943 2.943 0.000 2.943 2.943 2.943 0.000" Properties=species:S:1:pos:R:3 pbc="T T T"
Sm 0.000 0.000 0.000
Se 2.943 2.943 2.943
```


No. 5
First-principles (r2SCAN) data for crystalline Sm3Se4 at its relaxed geometry, as listed in Materials Project.

Results
energy relative to the elements: -2.1172 eV/atom
V: 344.5 Å³ per cell

Cell and atoms, written as extended XYZ:
```
14
Lattice="-4.416 4.416 4.416 4.416 -4.416 4.416 4.416 4.416 -4.416" Properties=species:S:1:pos:R:3 pbc="T T T"
Sm 6.624 1.104 0.000
Sm 3.312 0.000 2.208
Sm 2.208 3.312 0.000
Sm 0.000 2.208 3.312
Sm 1.104 0.000 6.624
Sm 0.000 6.624 1.104
Se 3.771 0.645 -0.645
Se 5.979 -1.563 1.563
Se 0.645 0.645 0.645
Se 0.645 -0.645 3.771
Se -0.645 3.771 0.645
Se 1.563 5.979 -1.563
Se 2.853 2.853 2.853
Se -1.563 1.563 5.979
```


No. 6
First-principles (r2SCAN) data for crystalline SrSm2Se4 at its relaxed geometry, as listed in Materials Project.

Results
energy relative to the elements: -2.2233 eV/atom
V: 362.4 Å³ per cell

Cell and atoms, written as extended XYZ:
```
14
Lattice="-4.497 4.497 4.481 4.497 -4.497 4.481 4.497 4.497 -4.481" Properties=species:S:1:pos:R:3 pbc="T T T"
Sr 0.000 0.000 0.000
Sr 0.000 4.497 2.241
Sm 2.248 -1.131 3.361
Sm 3.366 2.248 1.120
Sm 2.248 5.627 -1.120
Sm 1.131 2.248 5.601
Se 6.061 0.669 0.546
Se 3.828 2.932 -1.694
Se 0.669 2.932 -0.546
Se 0.669 1.565 2.787
Se 3.828 1.565 3.935
Se 1.565 -0.669 6.175
Se 2.932 5.165 1.694
Se -1.565 3.828 5.028
```


Q: Among the records above, which one has the highest V?
A: Ta11Si2Se8


Q: What is the formula in the fifth record?
A: Sm3Se4


Q: Which value of energy relative to the elements does entry 5 give?
A: -2.1172 eV/atom


Q: Which of these has the highest energy relative to the elements?
A: Se